No. 1
DFT (PBE) results for a geometry-optimized UP2S7 structure.

The structure in CIF format:
```
data_UP2S7
_cell_length_a 9.184
_cell_length_b 15.401
_cell_length_c 30.612
_cell_angle_alpha 90.00
_cell_angle_beta 90.00
_cell_angle_gamma 90.00
_space_group_name_H-M_alt 'F d d d'
_space_group_IT_number 70
loop_
_space_group_symop_operation_xyz
'x,y,z'
'-x,-y,-z'
'-x+1/4,-y+1/4,z'
'x+1/4,y+1/4,-z'
'x,-y+1/4,-z+1/4'
'-x,y+1/4,z+1/4'
'-x+1/4,y,-z+1/4'
'x+1/4,-y,z+1/4'
'x,y+1/2,z+1/2'
'-x,-y+1/2,-z+1/2'
'-x+1/4,-y+3/4,z+1/2'
'x+1/4,y+3/4,-z+1/2'
'x,-y+3/4,-z+3/4'
'-x,y+3/4,z+3/4'
'-x+1/4,y+1/2,-z+3/4'
'x+1/4,-y+1/2,z+3/4'
'x+1/2,y,z+1/2'
'-x+1/2,-y,-z+1/2'
'-x+3/4,-y+1/4,z+1/2'
'x+3/4,y+1/4,-z+1/2'
'x+1/2,-y+1/4,-z+3/4'
'-x+1/2,y+1/4,z+3/4'
'-x+3/4,y,-z+3/4'
'x+3/4,-y,z+3/4'
'x+1/2,y+1/2,z'
'-x+1/2,-y+1/2,-z'
'-x+3/4,-y+3/4,z'
'x+3/4,y+3/4,-z'
'x+1/2,-y+3/4,-z+1/4'
'-x+1/2,y+3/4,z+1/4'
'-x+3/4,y+1/2,-z+1/4'
'x+3/4,-y+1/2,z+1/4'
loop_
_atom_site_label
_atom_site_fract_x
_atom_site_fract_y
_atom_site_fract_z
U1 0.125 0.125 0.014
P1 0.120 0.318 0.069
S1 0.032 0.276 0.425
S2 0.064 0.005 0.944
S3 0.095 0.343 0.730
S4 0.125 0.350 0.625
```

**Total magnetic moment**: 0.00 μB/atom

***

No. 2
DFT (PBE) results for a geometry-optimized U3P2S structure.

The structure in CIF format:
```
data_U3P2S
_cell_length_a 3.9211
_cell_length_b 3.9211
_cell_length_c 9.5558
_cell_angle_alpha 90.00
_cell_angle_beta 90.00
_cell_angle_gamma 120.00
_space_group_name_H-M_alt 'P -3 m 1'
_space_group_IT_number 164
_space_group_name_Hall '-P 3 2"'
loop_
_atom_site_label
_atom_site_fract_x
_atom_site_fract_y
_atom_site_fract_z
U1 0.0000 0.0000 0.0000
U2 0.3333 0.6667 0.6656
P1 0.3333 0.6667 0.1677
S1 0.0000 0.0000 0.5000
```

***

No. 3
DFT (PBE) results for a geometry-optimized V2P4S13 structure.

The structure in CIF format:
```
data_V2P4S13
_cell_length_a 9.507
_cell_length_b 9.912
_cell_length_c 11.997
_cell_angle_alpha 72.33
_cell_angle_beta 72.41
_cell_angle_gamma 70.22
_space_group_name_H-M_alt 'P -1'
_space_group_IT_number 2
_space_group_name_Hall '-P 1'
loop_
_atom_site_label
_atom_site_fract_x
_atom_site_fract_y
_atom_site_fract_z
V1 0.102 0.005 0.110
V2 0.396 0.496 0.391
P1 0.001 0.745 0.105
P2 0.258 0.430 0.227
P3 0.272 0.066 0.252
P4 0.374 0.765 0.477
S1 0.016 0.173 0.752
S2 0.044 0.129 0.277
S3 0.078 0.512 0.131
S4 0.144 0.850 0.965
S5 0.185 0.393 0.405
S6 0.195 0.204 0.947
S7 0.206 0.698 0.454
S8 0.356 0.994 0.413
S9 0.358 0.923 0.143
S10 0.385 0.237 0.157
S11 0.389 0.727 0.648
S12 0.411 0.549 0.178
S13 0.426 0.367 0.606
```

**Total magnetic moment**: 0.21 μB/atom

***

No. 4
DFT (PBE) results for a geometry-optimized V3P4S12 structure.

The structure in CIF format:
```
data_V3P4S12
_cell_length_a 5.933
_cell_length_b 10.369
_cell_length_c 13.412
_cell_angle_alpha 90.00
_cell_angle_beta 98.44
_cell_angle_gamma 90.00
_space_group_name_H-M_alt 'C 1 2 1'
_space_group_IT_number 5
_space_group_name_Hall 'C 2y'
loop_
_atom_site_label
_atom_site_fract_x
_atom_site_fract_y
_atom_site_fract_z
V1 0.000 0.000 0.000
V2 0.000 0.153 0.500
V3 0.000 0.494 0.500
P1 0.028 0.823 0.582
P2 0.029 0.323 0.082
S1 0.097 0.148 0.879
S2 0.119 0.323 0.385
S3 0.130 0.654 0.382
S4 0.130 0.841 0.879
S5 0.131 0.993 0.383
S6 0.158 0.476 0.880
```

**Total magnetic moment**: 0.31 μB/atom

***

No. 5
DFT (PBE) results for a geometry-optimized YPS4 structure.

The structure in CIF format:
```
data_YPS4
_cell_length_a 10.815
_cell_length_b 10.815
_cell_length_c 19.139
_cell_angle_alpha 90.00
_cell_angle_beta 90.00
_cell_angle_gamma 90.00
_space_group_name_H-M_alt 'I 41/a c d'
_space_group_IT_number 142
loop_
_space_group_symop_operation_xyz
'x,y,z'
'-x,-y,-z'
'-y+1/4,x+3/4,z+1/4'
'y+1/4,-x+3/4,-z+1/4'
'-x+1/2,-y,z+1/2'
'x+1/2,y,-z+1/2'
'y+1/4,-x+1/4,z+3/4'
'-y+1/4,x+1/4,-z+3/4'
'x,-y,-z+1/2'
'-x,y,z+1/2'
'-y+1/4,-x+1/4,-z+1/4'
'y+1/4,x+1/4,z+1/4'
'-x+1/2,y,-z'
'x+1/2,-y,z'
'y+1/4,x+3/4,-z+3/4'
'-y+1/4,-x+3/4,z+3/4'
'x+1/2,y+1/2,z+1/2'
'-x+1/2,-y+1/2,-z+1/2'
'-y+3/4,x+1/4,z+3/4'
'y+3/4,-x+1/4,-z+3/4'
'-x,-y+1/2,z'
'x,y+1/2,-z'
'y+3/4,-x+3/4,z+1/4'
'-y+3/4,x+3/4,-z+1/4'
'x+1/2,-y+1/2,-z'
'-x+1/2,y+1/2,z'
'-y+3/4,-x+3/4,-z+3/4'
'y+3/4,x+3/4,z+3/4'
'-x,y+1/2,-z+1/2'
'x,-y+1/2,z+1/2'
'y+3/4,x+1/4,-z+1/4'
'-y+3/4,-x+1/4,z+1/4'
loop_
_atom_site_label
_atom_site_fract_x
_atom_site_fract_y
_atom_site_fract_z
Y1 0.000 0.250 0.125
Y2 0.000 0.250 0.375
P1 0.038 0.000 0.250
S1 0.065 0.004 0.840
S2 0.088 0.114 0.003
```

***

No. 6
DFT (PBE) results for a geometry-optimized Zn3P2S8 structure.

The structure in CIF format:
```
data_Zn3P2S8
_cell_length_a 7.906
_cell_length_b 7.906
_cell_length_c 9.202
_cell_angle_alpha 90.00
_cell_angle_beta 90.00
_cell_angle_gamma 90.00
_space_group_name_H-M_alt 'P -4 n 2'
_space_group_IT_number 118
_space_group_name_Hall 'P -4 -2n'
loop_
_atom_site_label
_atom_site_fract_x
_atom_site_fract_y
_atom_site_fract_z
Zn1 0.000 0.000 0.000
Zn2 0.000 0.500 0.018
P1 0.243 0.257 0.250
S1 0.023 0.748 0.862
S2 0.033 0.236 0.375
```

**Total magnetic moment**: 0.00 μB/atom
**Piezoelectric modulus e_max**: 0.1 C/m²

***

No. 7
DFT (PBE) results for a geometry-optimized Zn2P3S9 structure.

The structure in CIF format:
```
data_Zn2P3S9
_cell_length_a 18.820
_cell_length_b 10.811
_cell_length_c 7.129
_cell_angle_alpha 90.00
_cell_angle_beta 95.05
_cell_angle_gamma 90.00
_space_group_name_H-M_alt 'C 1 2/m 1'
_space_group_IT_number 12
_space_group_name_Hall '-C 2y'
loop_
_atom_site_label
_atom_site_fract_x
_atom_site_fract_y
_atom_site_fract_z
Zn1 0.123 0.171 0.161
P1 0.024 0.000 0.861
P2 0.129 0.500 0.191
P3 0.224 0.500 0.888
S1 0.069 0.000 0.320
S2 0.079 0.160 0.842
S3 0.089 0.352 0.315
S4 0.111 0.500 0.890
S5 0.242 0.500 0.190
S6 0.248 0.159 0.231
```

***

No. 8
DFT (PBE) results for a geometry-optimized Zr2P3S structure.

The structure in CIF format:
```
data_Zr2P3S
_cell_length_a 3.603
_cell_length_b 3.603
_cell_length_c 7.883
_cell_angle_alpha 90.00
_cell_angle_beta 90.00
_cell_angle_gamma 90.00
_space_group_name_H-M_alt 'P 4 m m'
_space_group_IT_number 99
_space_group_name_Hall 'P 4 -2'
loop_
_atom_site_label
_atom_site_fract_x
_atom_site_fract_y
_atom_site_fract_z
Zr1 0.000 0.000 0.000
Zr2 0.500 0.500 0.469
P1 0.000 0.500 0.734
P2 0.500 0.500 0.114
S1 0.000 0.000 0.355
```

***

It is found that the energy of formation from the pure elements values, taken in the order of the records, are -0.890; -1.198; -0.725; -0.749; -1.366; -0.767; -0.681; -1.164 eV per atom.